Compound: TiNi3P4O16
Source: the Materials Project
Functional: GGA+U
Structure: optimized geometry

extended XYZ file:
```
24
Lattice="5.889 0.000 0.000 0.000 4.874 0.000 0.000 0.199 9.957" Properties=species:S:1:pos:R:3 pbc="T T T"
O 1.731 1.229 3.331
Ni 2.944 2.723 2.223
Ti 2.944 4.865 7.246
O 2.944 3.582 8.654
Ni 0.000 2.406 7.669
O 1.218 3.967 6.705
P 2.944 0.514 4.000
P 2.944 2.079 9.018
O 4.671 3.967 6.705
O 2.944 1.642 0.535
O 4.121 1.349 8.250
O 1.209 3.633 1.677
O 4.158 1.229 3.331
O 4.680 3.633 1.677
O 1.767 1.349 8.250
Ni 0.000 0.305 2.796
O 2.944 0.817 5.539
O 0.000 1.260 6.052
O 2.944 3.876 3.839
P 0.000 2.930 0.984
O 0.000 1.400 1.174
O 0.000 4.131 4.470
O 0.000 3.363 9.433
P 0.000 4.630 5.922
```

Computed properties:
density: 3.51 g cm⁻³
V: 286 Å³ per cell
total DFT energy (no corrections): -6.77 eV per atom
energy relative to the elements: -2.29 eV per atom
total moment: 5.58 μB per formula unit